[1]
A geometry-optimized KFe2S3 structure. Source: Materials Project, functional PBE.

Unit cell a=7.160 b=7.160 c=5.157 alpha=90.00 beta=90.00 gamma=103.88
Atoms (fractional coordinates):
Fe: 0.856 0.856 0.500
Fe: 0.144 0.144 0.500
Fe: 0.144 0.144 0.000
Fe: 0.856 0.856 0.000
S: 0.173 0.385 0.750
S: 0.108 0.892 0.750
S: 0.615 0.827 0.750
S: 0.385 0.173 0.250
S: 0.827 0.615 0.250
S: 0.892 0.108 0.250
K: 0.326 0.674 0.250
K: 0.674 0.326 0.750

=====

[2]
A geometry-optimized TiCl3 structure. Source: Materials Project, functional PBE.

Unit cell a=6.114 b=6.114 c=7.224 alpha=64.97 beta=64.97 gamma=60.00
Atoms (fractional coordinates):
Ti: 0.333 0.333 0.000
Ti: 0.667 0.667 0.000
Cl: 0.722 0.427 0.777
Cl: 0.427 0.074 0.777
Cl: 0.573 0.926 0.223
Cl: 0.278 0.573 0.223
Cl: 0.074 0.722 0.777
Cl: 0.926 0.278 0.223

=====

no.,raw total energy (eV/atom),MP2020-corrected energy (eV/atom),formation enthalpy at 0 K (meV per atom)
1,-5.753,-6.005,-928
2,-4.943,-5.404,-2044